Record 1
Crystalline Zn3P2O8 at its relaxed geometry, computed with meta-GGA r2SCAN.

abc: 5.0371 8.4390 8.6427
angles: 90.00 119.85 90.00
Sites, in units of the cell vectors:
Zn 0.0000 0.0000 0.0000
Zn 0.0000 0.5000 0.5000
Zn 0.0447 0.1379 0.6201
Zn 0.0447 0.3621 0.1201
Zn 0.9553 0.6379 0.8799
Zn 0.9553 0.8621 0.3799
P 0.3361 0.6911 0.3036
P 0.3361 0.8089 0.8036
P 0.6639 0.1911 0.1964
P 0.6639 0.3089 0.6964
O 0.1830 0.6433 0.7478
O 0.1830 0.8567 0.2478
O 0.1932 0.5801 0.1403
O 0.1932 0.9199 0.6403
O 0.2744 0.6307 0.4488
O 0.2744 0.8693 0.9488
O 0.3181 0.1980 0.1271
O 0.3181 0.3020 0.6271
O 0.6819 0.6980 0.3729
O 0.6819 0.8020 0.8729
O 0.7256 0.1307 0.0512
O 0.7256 0.3693 0.5512
O 0.8068 0.0801 0.3597
O 0.8068 0.4199 0.8597
O 0.8170 0.1433 0.7522
O 0.8170 0.3567 0.2522

As for the distance to the lowest polymorph of the same formula: 0.06 eV/f.u.



Record 2
Crystalline LiMn2S4 at its relaxed geometry, computed with meta-GGA r2SCAN.

abc: 7.0831 7.0831 7.0831
angles: 60.00 60.00 60.00
Sites, in units of the cell vectors:
Li 0.1250 0.1250 0.1250
Li 0.8750 0.8750 0.8750
Mn 0.0000 0.5000 0.5000
Mn 0.5000 0.0000 0.5000
Mn 0.5000 0.5000 0.0000
Mn 0.5000 0.5000 0.5000
S 0.2605 0.2605 0.2605
S 0.2605 0.2605 0.7186
S 0.2605 0.7186 0.2605
S 0.2814 0.7395 0.7395
S 0.7186 0.2605 0.2605
S 0.7395 0.2814 0.7395
S 0.7395 0.7395 0.2814
S 0.7395 0.7395 0.7395

As for the distance to the lowest polymorph of the same formula: 0.00 eV/f.u.



Record 3
Crystalline Li2Eu5O8 at its relaxed geometry, computed with meta-GGA r2SCAN.

abc: 6.9651 6.9651 9.6584
angles: 118.54 118.54 29.06
Sites, in units of the cell vectors:
Li 0.1920 0.1920 0.2649
Li 0.8080 0.8080 0.7351
Eu 0.1679 0.1679 0.8146
Eu 0.3908 0.3908 0.5663
Eu 0.5000 0.5000 0.0000
Eu 0.6092 0.6092 0.4337
Eu 0.8321 0.8321 0.1854
O 0.0404 0.0404 0.2242
O 0.1801 0.1801 0.0648
O 0.2348 0.2348 0.6172
O 0.4187 0.4187 0.3431
O 0.5813 0.5813 0.6569
O 0.7652 0.7652 0.3828
O 0.8199 0.8199 0.9352
O 0.9596 0.9596 0.7758



Record 4
Crystalline Hf5CuPb3 at its relaxed geometry, computed with meta-GGA r2SCAN.

abc: 8.6396 8.6396 5.8554
angles: 90.00 90.00 120.00
Sites, in units of the cell vectors:
Hf 0.0000 0.2543 0.2500
Hf 0.0000 0.7457 0.7500
Hf 0.2543 0.0000 0.2500
Hf 0.2543 0.2543 0.7500
Hf 0.3333 0.6667 0.0000
Hf 0.3333 0.6667 0.5000
Hf 0.6667 0.3333 0.0000
Hf 0.6667 0.3333 0.5000
Hf 0.7457 0.0000 0.7500
Hf 0.7457 0.7457 0.2500
Cu 0.0000 0.0000 0.0000
Cu 0.0000 0.0000 0.5000
Pb 0.0000 0.3890 0.7500
Pb 0.0000 0.6110 0.2500
Pb 0.3890 0.0000 0.7500
Pb 0.3890 0.3890 0.2500
Pb 0.6110 0.0000 0.2500
Pb 0.6110 0.6110 0.7500



Record 5
Crystalline YUPd6 at its relaxed geometry, computed with meta-GGA r2SCAN.

abc: 4.1158 4.1158 8.2140
angles: 90.00 90.00 90.00
Sites, in units of the cell vectors:
Y 0.0000 0.0000 0.0000
U 0.0000 0.0000 0.5000
Pd 0.0000 0.5000 0.2531
Pd 0.0000 0.5000 0.7469
Pd 0.5000 0.0000 0.2531
Pd 0.5000 0.0000 0.7469
Pd 0.5000 0.5000 0.0000
Pd 0.5000 0.5000 0.5000



Record 6
Crystalline Gd2GaAg at its relaxed geometry, computed with meta-GGA r2SCAN.

abc: 7.2666 7.2666 7.2666
angles: 90.00 90.00 90.00
Sites, in units of the cell vectors:
Gd 0.2500 0.2500 0.2500
Gd 0.2500 0.2500 0.7500
Gd 0.2500 0.7500 0.2500
Gd 0.2500 0.7500 0.7500
Gd 0.7500 0.2500 0.2500
Gd 0.7500 0.2500 0.7500
Gd 0.7500 0.7500 0.2500
Gd 0.7500 0.7500 0.7500
Ga 0.0000 0.0000 0.0000
Ga 0.0000 0.5000 0.5000
Ga 0.5000 0.0000 0.5000
Ga 0.5000 0.5000 0.0000
Ag 0.0000 0.0000 0.5000
Ag 0.0000 0.5000 0.0000
Ag 0.5000 0.0000 0.0000
Ag 0.5000 0.5000 0.5000



Record 7
Crystalline CaGdHg2 at its relaxed geometry, computed with meta-GGA r2SCAN.

abc: 9.1500 5.2945 5.2914
angles: 90.00 125.33 90.00
Sites, in units of the cell vectors:
Ca 0.0000 0.0000 0.0000
Ca 0.5000 0.5000 0.0000
Gd 0.0000 0.5000 0.5000
Gd 0.5000 0.0000 0.5000
Hg 0.2491 0.5000 0.2483
Hg 0.2509 0.0000 0.7517
Hg 0.7491 0.0000 0.2483
Hg 0.7509 0.5000 0.7517



Record 8
Crystalline La2U2Se9 at its relaxed geometry, computed with meta-GGA r2SCAN.

abc: 10.7496 5.6431 10.6955
angles: 90.00 90.00 90.00
Sites, in units of the cell vectors:
La 0.2500 0.0000 0.0256
La 0.2500 0.0000 0.5752
La 0.7500 0.0000 0.4248
La 0.7500 0.0000 0.9744
U 0.0096 0.5000 0.2559
U 0.4904 0.5000 0.2559
U 0.5096 0.5000 0.7441
U 0.9904 0.5000 0.7441
Se 0.0000 0.2499 0.5000
Se 0.0000 0.7501 0.5000
Se 0.0550 0.0000 0.8118
Se 0.1225 0.5000 0.0002
Se 0.2500 0.2491 0.2861
Se 0.2500 0.5000 0.6845
Se 0.2500 0.7509 0.2861
Se 0.3775 0.5000 0.0002
Se 0.4450 0.0000 0.8118
Se 0.5000 0.2499 0.5000
Se 0.5000 0.7501 0.5000
Se 0.5550 0.0000 0.1882
Se 0.6225 0.5000 0.9998
Se 0.7500 0.2491 0.7139
Se 0.7500 0.5000 0.3155
Se 0.7500 0.7509 0.7139
Se 0.8775 0.5000 0.9998
Se 0.9450 0.0000 0.1882



no.,V (Å³ per cell),energy relative to the elements (eV/atom),spin magnetization (Bohr magnetons per cell)
1,318.64,-2.148,0.0
2,251.27,-1.006,14.0
3,197.92,-2.874,31.0
4,378.50,-0.169,0.0
5,139.14,-0.798,2.0
6,383.71,-0.451,59.2
7,209.13,-0.572,14.5
8,648.79,-1.661,7.6